Below is an optimized crystal structure of TmZrF7, with properties calculated at the r2SCAN level.

Geometry as POSCAR:
```
TmZrF7
1.0
5.9521 0.0000 0.0000
0.0000 5.6321 0.0000
-1.8016 0.0000 7.9084
Tm Zr F
2 2 14
Direct
0.1532 0.0000 0.1853
0.8468 0.5000 0.8147
0.3128 0.9907 0.7258
0.6872 0.4907 0.2742
0.0380 0.3013 0.0219
0.0415 0.2092 0.7114
0.1193 0.6930 0.7181
0.2548 0.0012 0.4729
0.3662 0.9978 0.9797
0.4228 0.2649 0.2682
0.4455 0.7484 0.2582
0.5545 0.2484 0.7418
0.5772 0.7649 0.7318
0.6338 0.4978 0.0203
0.7452 0.5012 0.5271
0.8807 0.1930 0.2819
0.9585 0.7092 0.2886
0.9620 0.8013 0.9781
```

Below is an optimized crystal structure of ThAs2, with properties calculated at the r2SCAN level.

Geometry as POSCAR:
```
ThAs2
1.0
4.1058 0.0000 0.0000
0.0000 4.1058 0.0000
0.0000 0.0000 8.6078
Th As
2 4
Direct
0.2500 0.2500 0.2188
0.7500 0.7500 0.7812
0.2500 0.2500 0.8634
0.2500 0.7500 0.5000
0.7500 0.2500 0.5000
0.7500 0.7500 0.1366
```

Below is an optimized crystal structure of Bi, with properties calculated at the r2SCAN level.

Geometry as POSCAR:
```
Bi
1.0
4.6584 0.0000 0.0000
0.0000 4.5264 0.0000
-0.3460 0.0000 6.5119
Bi
4
Direct
0.2486 0.2500 0.2513
0.2501 0.2500 0.7511
0.7499 0.7500 0.2489
0.7514 0.7500 0.7487
```

Below is an optimized crystal structure of YMg5, with properties calculated at the r2SCAN level.

Geometry as POSCAR:
```
YMg5
1.0
5.9525 -1.8389 0.0000
5.9525 1.8389 0.0000
-2.1583 0.0000 6.6941
Y Mg
1 5
Direct
0.0000 0.0000 0.0000
0.0000 0.0000 0.5000
0.3240 0.3240 0.1710
0.3275 0.3275 0.6539
0.6725 0.6725 0.3461
0.6760 0.6760 0.8290
```

Below is an optimized crystal structure of SiO2, with properties calculated at the r2SCAN level.

Geometry as POSCAR:
```
SiO2
1.0
8.9392 0.0000 0.0000
0.0000 8.9392 0.0000
0.0000 0.0000 8.9392
Si O
12 24
Direct
0.5000 0.7500 0.0000
0.0000 0.2500 0.5000
0.7500 0.0000 0.5000
0.0000 0.5000 0.2500
0.0000 0.7500 0.5000
0.5000 0.2500 0.0000
0.7500 0.5000 0.0000
0.2500 0.5000 0.0000
0.0000 0.5000 0.7500
0.5000 0.0000 0.2500
0.2500 0.0000 0.5000
0.5000 0.0000 0.7500
0.6475 0.0000 0.3525
0.3525 0.0000 0.6475
0.6475 0.0000 0.6475
0.3525 0.6475 0.0000
0.0000 0.3525 0.6475
0.0000 0.6475 0.6475
0.1475 0.1475 0.5000
0.0000 0.3525 0.3525
0.3525 0.3525 0.0000
0.8525 0.5000 0.1475
0.1475 0.8525 0.5000
0.0000 0.6475 0.3525
0.1475 0.5000 0.1475
0.8525 0.5000 0.8525
0.5000 0.8525 0.8525
0.5000 0.8525 0.1475
0.6475 0.6475 0.0000
0.6475 0.3525 0.0000
0.5000 0.1475 0.8525
0.5000 0.1475 0.1475
0.1475 0.5000 0.8525
0.3525 0.0000 0.3525
0.8525 0.8525 0.5000
0.8525 0.1475 0.5000
```

Below is an optimized crystal structure of BaCO3, with properties calculated at the r2SCAN level.

Geometry as POSCAR:
```
BaCO3
1.0
6.4164 0.0000 0.0000
0.0000 5.3592 0.0000
0.0000 0.0000 8.9800
Ba C O
4 4 12
Direct
0.2460 0.2500 0.0839
0.2540 0.7500 0.5839
0.7460 0.2500 0.4161
0.7540 0.7500 0.9161
0.0805 0.2500 0.7438
0.4195 0.7500 0.2438
0.5805 0.2500 0.7562
0.9195 0.7500 0.2562
0.0803 0.0408 0.8159
0.0803 0.4592 0.8159
0.0880 0.2500 0.5998
0.4120 0.7500 0.0998
0.4197 0.5408 0.3159
0.4197 0.9592 0.3159
0.5803 0.0408 0.6841
0.5803 0.4592 0.6841
0.5880 0.2500 0.9002
0.9120 0.7500 0.4002
0.9197 0.5408 0.1841
0.9197 0.9592 0.1841
```

Below is an optimized crystal structure of YbSF, with properties calculated at the r2SCAN level.

Geometry as POSCAR:
```
YbSF
1.0
3.9444 0.0000 0.0000
-1.9722 3.4159 0.0000
0.0000 0.0000 16.4471
Yb S F
4 4 4
Direct
0.0000 0.0000 0.0000
0.0000 0.0000 0.5000
0.3333 0.6667 0.2500
0.6667 0.3333 0.7500
0.3333 0.6667 0.0866
0.3333 0.6667 0.4134
0.6667 0.3333 0.5866
0.6667 0.3333 0.9134
0.0000 0.0000 0.2500
0.0000 0.0000 0.7500
0.3333 0.6667 0.7500
0.6667 0.3333 0.2500
```

Below is an optimized crystal structure of Eu2ZnIn, with properties calculated at the r2SCAN level.

Geometry as POSCAR:
```
Eu2ZnIn
1.0
0.0000 3.8716 3.8716
3.8716 0.0000 3.8716
3.8716 3.8716 0.0000
Eu Zn In
2 1 1
Direct
0.2500 0.2500 0.2500
0.7500 0.7500 0.7500
0.0000 0.0000 0.0000
0.5000 0.5000 0.5000
```

Across the entries above, electronic total energy takes the values -13.087, -35.512, -58.433, -6.865, -9.927, -13.275, -19.204, -27.543 eV/atom, respectively.
Across the entries above, total moment takes the values 0.000, 0.000, 0.000, 0.000, 0.000, 0.000, 0.000, 14.242 Bohr magnetons per cell, respectively.